Entry 1:
First-principles (PBE) data for a geometry-optimized CsAu structure, as listed in the Materials Project.

Unit cell a=4.381 b=4.381 c=4.381 alpha=90.00 beta=90.00 gamma=90.00
Positions (direct):
1 Cs 0.000 0.000 0.000
2 Au 0.500 0.500 0.500

DFT formation energy = -0.307 eV per atom
SG = No. 221
final energy = -2.392 eV/atom

Entry 2:
First-principles (PBE) data for a geometry-optimized Cs2CuAuF6 structure, as listed in the Materials Project.

Unit cell a=6.214 b=6.214 c=6.214 alpha=60.00 beta=60.00 gamma=60.00
Positions (direct):
1 Cs 0.250 0.250 0.250
2 Cs 0.750 0.750 0.750
3 Cu 0.500 0.500 0.500
4 Au 0.000 0.000 0.000
5 F 0.267 0.267 0.733
6 F 0.267 0.733 0.733
7 F 0.733 0.733 0.267
8 F 0.267 0.733 0.267
9 F 0.733 0.267 0.733
10 F 0.733 0.267 0.267

DFT formation energy = -2.099 eV per atom
SG = No. 225
final energy = -3.887 eV/atom
size of the total moment = 0.01 μB/cell